Record 1
# Sn2N2O PBE optimized geometry
# Space group ... P1
data_Sn2N2O
_space_group_name_H-M_alt 'P 1'
_space_group_IT_number 1
_cell_length_a 8.8049
_cell_length_b 8.8501
_cell_length_c 8.8712
_cell_angle_alpha 109.47
_cell_angle_beta 109.43
_cell_angle_gamma 109.29
loop_
_space_group_symop_operation_xyz
'x,y,z'
loop_
_atom_site_label
_atom_site_type_symbol
_atom_site_fract_x
_atom_site_fract_y
_atom_site_fract_z
Sn1 Sn 0.0000 0.0000 0.0000
Sn2 Sn 0.0031 0.5081 0.5135
Sn3 Sn 0.0445 0.3218 0.7943
Sn4 Sn 0.2228 0.0437 0.7541
Sn5 Sn 0.2560 0.7919 0.0412
Sn6 Sn 0.2686 0.2982 0.5547
Sn7 Sn 0.2956 0.5450 0.3290
Sn8 Sn 0.4873 0.2637 0.3044
Sn9 Sn 0.4942 0.0677 0.5686
Sn10 Sn 0.5095 0.5768 0.0756
Sn11 Sn 0.5228 0.8131 0.7768
Sn12 Sn 0.7130 0.0328 0.2550
Sn13 Sn 0.7505 0.2859 0.0426
Sn14 Sn 0.7541 0.7893 0.5397
Sn15 Sn 0.7944 0.5480 0.8227
Sn16 Sn 0.9785 0.7715 0.2974
N1 N 0.0214 0.5501 0.7704
N2 N 0.0249 0.7934 0.0822
N3 N 0.2170 0.0276 0.4992
N4 N 0.2736 0.5451 0.5645
N5 N 0.3060 0.3403 0.8221
N6 N 0.4821 0.7864 0.9919
N7 N 0.4837 0.0182 0.3091
N8 N 0.4881 0.0601 0.8179
N9 N 0.5146 0.8272 0.5297
N10 N 0.5179 0.5087 0.2988
N11 N 0.5386 0.3362 0.5874
N12 N 0.7329 0.2967 0.2809
N13 N 0.7434 0.7507 0.7711
N14 N 0.7585 0.8286 0.3052
N15 N 0.9885 0.0646 0.7795
N16 N 0.9937 0.7488 0.5416
O1 O 0.0266 0.5204 0.2469
O2 O 0.2071 0.2392 0.2617
O3 O 0.2478 0.5595 0.0855
O4 O 0.2642 0.0272 0.0037
O5 O 0.7135 0.5113 0.0321
O6 O 0.8041 0.2860 0.8237
O7 O 0.8185 0.0774 0.0623
O8 O 0.9792 0.2292 0.5038

=====

Record 2
# Sn2N2O PBE optimized geometry
# Space group ... P1
data_Sn2N2O
_space_group_name_H-M_alt 'P 1'
_space_group_IT_number 1
_cell_length_a 8.8470
_cell_length_b 8.8475
_cell_length_c 8.8622
_cell_angle_alpha 109.54
_cell_angle_beta 109.38
_cell_angle_gamma 109.34
loop_
_space_group_symop_operation_xyz
'x,y,z'
loop_
_atom_site_label
_atom_site_type_symbol
_atom_site_fract_x
_atom_site_fract_y
_atom_site_fract_z
Sn1 Sn 0.0000 0.0000 0.0000
Sn2 Sn 0.0029 0.5076 0.4951
Sn3 Sn 0.0404 0.2629 0.7938
Sn4 Sn 0.2153 0.9720 0.7527
Sn5 Sn 0.2375 0.7795 0.0341
Sn6 Sn 0.2580 0.2921 0.5266
Sn7 Sn 0.2942 0.5480 0.2611
Sn8 Sn 0.4743 0.7619 0.7144
Sn9 Sn 0.4898 0.0015 0.5027
Sn10 Sn 0.5074 0.5093 0.0141
Sn11 Sn 0.5324 0.2536 0.2838
Sn12 Sn 0.7220 0.4718 0.7600
Sn13 Sn 0.7367 0.2161 0.9753
Sn14 Sn 0.7566 0.7360 0.4686
Sn15 Sn 0.7856 0.0332 0.2432
Sn16 Sn 0.9671 0.7563 0.2204
N1 N 0.0060 0.7399 0.4701
N2 N 0.0490 0.0531 0.2786
N3 N 0.2282 0.7731 0.2749
N4 N 0.2368 0.5044 0.4671
N5 N 0.2659 0.5367 0.9955
N6 N 0.2779 0.0396 0.0397
N7 N 0.4557 0.0104 0.7383
N8 N 0.4761 0.2450 0.5060
N9 N 0.5018 0.4633 0.2407
N10 N 0.5534 0.7880 0.5119
N11 N 0.7277 0.4577 0.0022
N12 N 0.7293 0.9614 0.9595
N13 N 0.7303 0.7810 0.2336
N14 N 0.7661 0.2715 0.2426
N15 N 0.9551 0.7283 0.9546
N16 N 0.9714 0.9894 0.7398
O1 O 0.0005 0.2813 0.5550
O2 O 0.0334 0.2884 0.0564
O3 O 0.2310 0.7210 0.7747
O4 O 0.2794 0.2397 0.7553
O5 O 0.5085 0.5545 0.7795
O6 O 0.5440 0.9943 0.2755
O7 O 0.7805 0.2387 0.7326
O8 O 0.7897 0.5188 0.5621

=====

Record 3
# Sn2N2O PBE optimized geometry
# Space group ... P1
data_Sn2N2O
_space_group_name_H-M_alt 'P 1'
_space_group_IT_number 1
_cell_length_a 8.8232
_cell_length_b 8.8596
_cell_length_c 8.8685
_cell_angle_alpha 109.56
_cell_angle_beta 109.48
_cell_angle_gamma 109.21
loop_
_space_group_symop_operation_xyz
'x,y,z'
loop_
_atom_site_label
_atom_site_type_symbol
_atom_site_fract_x
_atom_site_fract_y
_atom_site_fract_z
Sn1 Sn 0.0000 0.0000 0.0000
Sn2 Sn 0.9998 0.4926 0.4832
Sn3 Sn 0.0363 0.2803 0.7418
Sn4 Sn 0.2130 0.2396 0.4577
Sn5 Sn 0.2452 0.0252 0.7665
Sn6 Sn 0.2540 0.5220 0.2762
Sn7 Sn 0.2956 0.7443 0.0241
Sn8 Sn 0.4694 0.2143 0.2524
Sn9 Sn 0.4924 0.4920 0.9766
Sn10 Sn 0.5141 0.9986 0.4888
Sn11 Sn 0.5312 0.7775 0.7388
Sn12 Sn 0.7335 0.2533 0.9582
Sn13 Sn 0.7379 0.4497 0.7027
Sn14 Sn 0.7496 0.9696 0.1998
Sn15 Sn 0.7794 0.7338 0.5194
Sn16 Sn 0.9644 0.7085 0.2383
N1 N 0.0387 0.7715 0.5287
N2 N 0.2360 0.2587 0.2143
N3 N 0.2637 0.2497 0.7208
N4 N 0.2656 0.4942 0.0311
N5 N 0.2751 0.5341 0.5363
N6 N 0.4569 0.2205 0.5002
N7 N 0.5009 0.7238 0.9457
N8 N 0.5368 0.9985 0.2529
N9 N 0.5465 0.7669 0.4932
N10 N 0.7257 0.4952 0.9502
N11 N 0.7288 0.4578 0.4536
N12 N 0.7664 0.0372 0.9842
N13 N 0.7812 0.2267 0.7255
N14 N 0.9551 0.2254 0.4547
N15 N 0.9698 0.4587 0.2181
N16 N 0.9958 0.9460 0.2201
O1 O 0.0444 0.5530 0.7712
O2 O 0.2203 0.9403 0.9683
O3 O 0.2338 0.7763 0.2624
O4 O 0.4527 0.9914 0.7166
O5 O 0.5024 0.2521 0.0333
O6 O 0.7150 0.7144 0.2581
O7 O 0.7786 0.7246 0.7709
O8 O 0.9901 0.0289 0.7652

=====

Record 4
# Sn2N2O PBE optimized geometry
# Space group ... P1
data_Sn2N2O
_space_group_name_H-M_alt 'P 1'
_space_group_IT_number 1
_cell_length_a 8.8189
_cell_length_b 8.8284
_cell_length_c 8.8323
_cell_angle_alpha 109.40
_cell_angle_beta 109.32
_cell_angle_gamma 109.22
loop_
_space_group_symop_operation_xyz
'x,y,z'
loop_
_atom_site_label
_atom_site_type_symbol
_atom_site_fract_x
_atom_site_fract_y
_atom_site_fract_z
Sn1 Sn 0.0000 0.0000 0.0000
Sn2 Sn 0.9999 0.4981 0.4947
Sn3 Sn 0.0425 0.7231 0.2454
Sn4 Sn 0.2133 0.1826 0.4641
Sn5 Sn 0.2357 0.4578 0.2050
Sn6 Sn 0.2612 0.9717 0.7157
Sn7 Sn 0.2845 0.7531 0.9666
Sn8 Sn 0.4780 0.2241 0.1907
Sn9 Sn 0.4841 0.4210 0.9198
Sn10 Sn 0.4975 0.9396 0.4239
Sn11 Sn 0.5260 0.7074 0.7439
Sn12 Sn 0.7220 0.6912 0.4762
Sn13 Sn 0.7376 0.4639 0.7046
Sn14 Sn 0.7539 0.9718 0.2250
Sn15 Sn 0.7805 0.2528 0.9641
Sn16 Sn 0.9561 0.2025 0.6778
N1 N 0.0072 0.2210 0.9411
N2 N 0.0074 0.4693 0.2504
N3 N 0.2047 0.1939 0.7228
N4 N 0.2475 0.6900 0.1652
N5 N 0.2630 0.2377 0.2530
N6 N 0.2861 0.7298 0.7146
N7 N 0.2929 0.9687 0.4841
N8 N 0.4719 0.4297 0.6737
N9 N 0.5190 0.0087 0.2107
N10 N 0.5257 0.2054 0.9588
N11 N 0.7059 0.2035 0.6769
N12 N 0.7195 0.4381 0.4428
N13 N 0.7432 0.9186 0.4470
N14 N 0.7882 0.7456 0.7570
N15 N 0.9725 0.9225 0.2056
N16 N 0.9816 0.2422 0.4495
O1 O 0.0188 0.5146 0.7664
O2 O 0.1949 0.9490 0.9317
O3 O 0.4650 0.6869 0.4809
O4 O 0.4841 0.4856 0.1755
O5 O 0.5200 0.6916 0.9926
O6 O 0.7233 0.9979 0.9784
O7 O 0.7863 0.5200 0.9861
O8 O 0.9842 0.7526 0.4918

=====

Record 5
# Sn2N2O PBE optimized geometry
# Space group ... P1
data_Sn2N2O
_space_group_name_H-M_alt 'P 1'
_space_group_IT_number 1
_cell_length_a 8.8518
_cell_length_b 8.8537
_cell_length_c 8.8585
_cell_angle_alpha 109.55
_cell_angle_beta 109.51
_cell_angle_gamma 109.21
loop_
_space_group_symop_operation_xyz
'x,y,z'
loop_
_atom_site_label
_atom_site_type_symbol
_atom_site_fract_x
_atom_site_fract_y
_atom_site_fract_z
Sn1 Sn 0.0000 0.0000 0.0000
Sn2 Sn 0.0065 0.4890 0.5018
Sn3 Sn 0.0179 0.2744 0.7408
Sn4 Sn 0.2131 0.7428 0.9511
Sn5 Sn 0.2462 0.4537 0.2234
Sn6 Sn 0.2563 0.9597 0.7196
Sn7 Sn 0.2715 0.2274 0.5187
Sn8 Sn 0.4546 0.2082 0.2455
Sn9 Sn 0.4980 0.9935 0.5062
Sn10 Sn 0.5064 0.4930 0.0043
Sn11 Sn 0.5294 0.7827 0.7506
Sn12 Sn 0.7013 0.7378 0.4542
Sn13 Sn 0.7428 0.5108 0.7744
Sn14 Sn 0.7584 0.0228 0.2839
Sn15 Sn 0.7867 0.2435 0.0235
Sn16 Sn 0.9591 0.7040 0.2464
N1 N 0.0022 0.2310 0.9533
N2 N 0.0303 0.4928 0.2716
N3 N 0.0393 0.2559 0.4991
N4 N 0.2134 0.9464 0.4575
N5 N 0.2184 0.2211 0.2678
N6 N 0.2259 0.9943 0.9550
N7 N 0.2695 0.7176 0.7269
N8 N 0.4529 0.7172 0.4631
N9 N 0.4985 0.4484 0.2253
N10 N 0.5322 0.2585 0.5300
N11 N 0.5372 0.0428 0.7753
N12 N 0.7289 0.4520 0.9859
N13 N 0.7336 0.7614 0.2265
N14 N 0.7607 0.0280 0.5353
N15 N 0.7652 0.9881 0.0343
N16 N 0.9566 0.4926 0.7308
O1 O 0.0073 0.7703 0.0456
O2 O 0.2734 0.2304 0.7784
O3 O 0.2808 0.5473 0.0009
O4 O 0.4513 0.9395 0.2158
O5 O 0.4915 0.5327 0.7641
O6 O 0.7177 0.2553 0.2698
O7 O 0.7674 0.7467 0.7259
O8 O 0.9464 0.7194 0.5115

=====

Record 6
# Sn2N2O PBE optimized geometry
# Space group ... I4_1/amd
data_Sn2N2O
_space_group_name_H-M_alt 'P 1'
_space_group_IT_number 1
_cell_length_a 14.4647
_cell_length_b 14.4647
_cell_length_c 14.4647
_cell_angle_alpha 154.23
_cell_angle_beta 154.23
_cell_angle_gamma 36.76
loop_
_space_group_symop_operation_xyz
'x,y,z'
loop_
_atom_site_label
_atom_site_type_symbol
_atom_site_fract_x
_atom_site_fract_y
_atom_site_fract_z
Sn1 Sn 0.0000 0.0000 0.0000
Sn2 Sn 0.0000 0.0000 0.5000
Sn3 Sn 0.0000 0.5000 0.0000
Sn4 Sn 0.1688 0.6678 0.5010
Sn5 Sn 0.2061 0.4561 0.7500
Sn6 Sn 0.3322 0.3332 0.5010
Sn7 Sn 0.3322 0.8312 0.9990
Sn8 Sn 0.3332 0.3322 0.0010
Sn9 Sn 0.4561 0.2061 0.2500
Sn10 Sn 0.5000 0.0000 0.5000
Sn11 Sn 0.5439 0.7939 0.7500
Sn12 Sn 0.6668 0.6678 0.9990
Sn13 Sn 0.6678 0.1688 0.0010
Sn14 Sn 0.6678 0.6668 0.4990
Sn15 Sn 0.7939 0.5439 0.2500
Sn16 Sn 0.8312 0.3322 0.4990
N1 N 0.1047 0.5878 0.5168
N2 N 0.2326 0.7485 0.4840
N3 N 0.2355 0.2515 0.9840
N4 N 0.2515 0.2355 0.4840
N5 N 0.2515 0.7674 0.0160
N6 N 0.4122 0.4290 0.5168
N7 N 0.4122 0.8953 0.9832
N8 N 0.4290 0.4122 0.0168
N9 N 0.5710 0.5878 0.9832
N10 N 0.5878 0.1047 0.0168
N11 N 0.5878 0.5710 0.4832
N12 N 0.7485 0.2326 0.9840
N13 N 0.7485 0.7645 0.5160
N14 N 0.7645 0.7485 0.0160
N15 N 0.7674 0.2515 0.5160
N16 N 0.8953 0.4122 0.4832
O1 O 0.0767 0.1133 0.5365
O2 O 0.0767 0.5402 0.9635
O3 O 0.1133 0.0767 0.0365
O4 O 0.4598 0.9233 0.5365
O5 O 0.5402 0.0767 0.4635
O6 O 0.8867 0.9233 0.9635
O7 O 0.9233 0.4598 0.0365
O8 O 0.9233 0.8867 0.4635

=====

Listing ΔH_f (0 K) for the structures above in their given order: -438; -440; -434; -445; -430; -465 meV per atom.
Listing total DFT energy (no corrections) for the structures above in their given order: -249.1; -249.2; -249.0; -249.4; -248.8; -250.2 eV/cell.
Listing theoretical density for the structures above in their given order: 7.01; 6.99; 6.99; 7.02; 6.98; 6.54 Mg/m³.